Model one:
This record from the Materials Project database describes a geometry-optimized Li3Ni2P3O12 structure. The functional is PBE with a Hubbard U.

Calculated values
- space group = C2/c, No. 15
- theoretical density (g cm⁻³) = 3.3

a b c (Å): 8.526 8.526 6.317
angles (deg): 105.76 105.76 94.51
Positions (direct):
Li 0.000 0.000 0.000
Li 0.000 0.000 0.500
Li 0.213 0.787 0.750
Li 0.481 0.519 0.750
Li 0.519 0.481 0.250
Li 0.787 0.213 0.250
Ni 0.125 0.446 0.869
Ni 0.446 0.125 0.369
Ni 0.554 0.875 0.631
Ni 0.875 0.554 0.131
P 0.165 0.365 0.365
P 0.212 0.788 0.250
P 0.365 0.165 0.865
P 0.635 0.835 0.135
P 0.788 0.212 0.750
P 0.835 0.635 0.635
O 0.034 0.765 0.268
O 0.048 0.202 0.302
O 0.101 0.453 0.177
O 0.163 0.492 0.594
O 0.202 0.048 0.802
O 0.235 0.966 0.232
O 0.239 0.678 0.027
O 0.322 0.761 0.473
O 0.348 0.350 0.896
O 0.350 0.348 0.396
O 0.453 0.101 0.677
O 0.492 0.163 0.094
O 0.508 0.837 0.906
O 0.547 0.899 0.323
O 0.650 0.652 0.604
O 0.652 0.650 0.104
O 0.678 0.239 0.527
O 0.761 0.322 0.973
O 0.765 0.034 0.768
O 0.798 0.952 0.198
O 0.837 0.508 0.406
O 0.899 0.547 0.823
O 0.952 0.798 0.698
O 0.966 0.235 0.732

=====

Model two:
This record from the Materials Project database describes a geometry-optimized Li3Ni2P3O12 structure. The functional is PBE with a Hubbard U.

Calculated values
- space group = P2_1/c, No. 14
- theoretical density (g cm⁻³) = 3.1

a b c (Å): 8.466 8.755 14.662
angles (deg): 90.00 123.98 90.00
Positions (direct):
Li 0.001 0.220 0.321
Li 0.001 0.280 0.821
Li 0.277 0.510 0.845
Li 0.277 0.990 0.345
Li 0.387 0.586 0.307
Li 0.387 0.914 0.807
Li 0.613 0.086 0.193
Li 0.613 0.414 0.693
Li 0.723 0.010 0.655
Li 0.723 0.490 0.155
Li 0.999 0.720 0.179
Li 0.999 0.780 0.679
Ni 0.135 0.534 0.389
Ni 0.135 0.966 0.889
Ni 0.351 0.529 0.104
Ni 0.351 0.971 0.604
Ni 0.649 0.029 0.396
Ni 0.649 0.471 0.896
Ni 0.865 0.034 0.111
Ni 0.865 0.466 0.611
P 0.037 0.109 0.647
P 0.037 0.391 0.147
P 0.264 0.617 0.652
P 0.264 0.883 0.152
P 0.449 0.249 0.491
P 0.449 0.251 0.991
P 0.551 0.749 0.009
P 0.551 0.751 0.509
P 0.736 0.117 0.848
P 0.736 0.383 0.348
P 0.963 0.609 0.853
P 0.963 0.891 0.353
O 0.018 0.233 0.188
O 0.018 0.267 0.688
O 0.122 0.509 0.243
O 0.122 0.991 0.743
O 0.130 0.579 0.691
O 0.130 0.921 0.191
O 0.162 0.118 0.602
O 0.162 0.382 0.102
O 0.165 0.572 0.531
O 0.165 0.928 0.031
O 0.170 0.550 0.938
O 0.170 0.950 0.438
O 0.247 0.185 0.934
O 0.247 0.315 0.434
O 0.286 0.706 0.167
O 0.286 0.794 0.667
O 0.398 0.627 0.445
O 0.398 0.873 0.945
O 0.454 0.530 0.722
O 0.454 0.970 0.222
O 0.455 0.166 0.399
O 0.455 0.334 0.899
O 0.492 0.137 0.584
O 0.492 0.363 0.084
O 0.508 0.637 0.916
O 0.508 0.863 0.416
O 0.545 0.666 0.101
O 0.545 0.834 0.601
O 0.546 0.030 0.778
O 0.546 0.470 0.278
O 0.602 0.127 0.055
O 0.602 0.373 0.555
O 0.714 0.206 0.333
O 0.714 0.294 0.833
O 0.753 0.685 0.566
O 0.753 0.815 0.066
O 0.830 0.050 0.562
O 0.830 0.450 0.062
O 0.835 0.072 0.969
O 0.835 0.428 0.469
O 0.838 0.618 0.898
O 0.838 0.882 0.398
O 0.870 0.079 0.809
O 0.870 0.421 0.309
O 0.878 0.009 0.257
O 0.878 0.491 0.757
O 0.982 0.733 0.312
O 0.982 0.767 0.812

=====

Model three:
This record from the Materials Project database describes a geometry-optimized Li3Ni2P3O12 structure. The functional is PBE with a Hubbard U.

Calculated values
- space group = R-3, No. 148
- theoretical density (g cm⁻³) = 3.0

a b c (Å): 8.989 8.989 8.989
angles (deg): 56.21 56.21 56.21
Positions (direct):
Li 0.162 0.767 0.421
Li 0.233 0.579 0.838
Li 0.421 0.162 0.767
Li 0.579 0.838 0.233
Li 0.767 0.421 0.162
Li 0.838 0.233 0.579
Ni 0.153 0.153 0.153
Ni 0.356 0.356 0.356
Ni 0.644 0.644 0.644
Ni 0.847 0.847 0.847
P 0.042 0.457 0.754
P 0.246 0.958 0.543
P 0.457 0.754 0.042
P 0.543 0.246 0.958
P 0.754 0.042 0.457
P 0.958 0.543 0.246
O 0.002 0.332 0.968
O 0.032 0.998 0.668
O 0.043 0.653 0.709
O 0.108 0.510 0.305
O 0.246 0.362 0.630
O 0.291 0.957 0.347
O 0.305 0.108 0.510
O 0.332 0.968 0.002
O 0.347 0.291 0.957
O 0.362 0.630 0.246
O 0.370 0.754 0.638
O 0.490 0.695 0.892
O 0.510 0.305 0.108
O 0.630 0.246 0.362
O 0.638 0.370 0.754
O 0.653 0.709 0.043
O 0.668 0.032 0.998
O 0.695 0.892 0.490
O 0.709 0.043 0.653
O 0.754 0.638 0.370
O 0.892 0.490 0.695
O 0.957 0.347 0.291
O 0.968 0.002 0.332
O 0.998 0.668 0.032

=====

The energy of each structure relative to the most stable one, in kJ/mol of atoms, is as follows: model one 1.4; model two 0.8; model three 0.0.

=====

Model one:
This record from the Materials Project database describes a geometry-optimized Li3Ni2P3O12 structure. The functional is PBE with a Hubbard U.

Calculated values
- space group = P2_1/c, No. 14
- theoretical density (g cm⁻³) = 3.0

a b c (Å): 8.739 8.816 15.079
angles (deg): 90.00 125.08 90.00
Positions (direct):
Li 0.034 0.230 0.319
Li 0.034 0.270 0.819
Li 0.333 0.208 0.248
Li 0.333 0.292 0.748
Li 0.383 0.585 0.298
Li 0.383 0.915 0.798
Li 0.617 0.085 0.202
Li 0.617 0.415 0.702
Li 0.667 0.708 0.252
Li 0.667 0.792 0.752
Li 0.966 0.730 0.181
Li 0.966 0.770 0.681
Ni 0.131 0.545 0.385
Ni 0.131 0.955 0.885
Ni 0.357 0.538 0.109
Ni 0.357 0.962 0.609
Ni 0.643 0.038 0.391
Ni 0.643 0.462 0.891
Ni 0.869 0.045 0.115
Ni 0.869 0.455 0.615
P 0.046 0.100 0.649
P 0.046 0.400 0.149
P 0.253 0.610 0.648
P 0.253 0.890 0.148
P 0.458 0.248 0.995
P 0.458 0.252 0.495
P 0.542 0.748 0.505
P 0.542 0.752 0.005
P 0.747 0.110 0.852
P 0.747 0.390 0.352
P 0.954 0.600 0.851
P 0.954 0.900 0.351
O 0.037 0.239 0.188
O 0.037 0.261 0.688
O 0.067 0.525 0.229
O 0.067 0.975 0.729
O 0.091 0.598 0.662
O 0.091 0.902 0.162
O 0.118 0.561 0.965
O 0.118 0.939 0.465
O 0.180 0.584 0.530
O 0.180 0.916 0.030
O 0.239 0.099 0.663
O 0.239 0.401 0.163
O 0.270 0.162 0.926
O 0.270 0.338 0.426
O 0.337 0.728 0.186
O 0.337 0.772 0.686
O 0.376 0.644 0.424
O 0.376 0.856 0.924
O 0.403 0.013 0.217
O 0.403 0.487 0.717
O 0.448 0.141 0.571
O 0.448 0.359 0.071
O 0.477 0.176 0.409
O 0.477 0.324 0.909
O 0.523 0.676 0.091
O 0.523 0.824 0.591
O 0.552 0.641 0.929
O 0.552 0.859 0.429
O 0.597 0.513 0.283
O 0.597 0.987 0.783
O 0.624 0.144 0.076
O 0.624 0.356 0.576
O 0.663 0.228 0.314
O 0.663 0.272 0.814
O 0.730 0.662 0.574
O 0.730 0.838 0.074
O 0.761 0.599 0.837
O 0.761 0.901 0.337
O 0.820 0.084 0.970
O 0.820 0.416 0.470
O 0.882 0.061 0.535
O 0.882 0.439 0.035
O 0.909 0.098 0.838
O 0.909 0.402 0.338
O 0.933 0.025 0.271
O 0.933 0.475 0.771
O 0.963 0.739 0.312
O 0.963 0.761 0.812

=====

Model two:
This record from the Materials Project database describes a geometry-optimized Li3Ni2P3O12 structure. The functional is PBE with a Hubbard U.

Calculated values
- space group = C2, No. 5
- theoretical density (g cm⁻³) = 3.1

a b c (Å): 9.753 9.753 9.696
angles (deg): 94.14 94.14 85.15
Positions (direct):
Li 0.114 0.114 0.018
Li 0.166 0.573 0.398
Li 0.203 0.313 0.243
Li 0.410 0.260 0.479
Li 0.417 0.082 0.181
Li 0.427 0.834 0.602
Li 0.560 0.065 0.803
Li 0.687 0.797 0.757
Li 0.740 0.590 0.521
Li 0.886 0.886 0.982
Li 0.918 0.583 0.819
Li 0.935 0.440 0.197
Ni 0.149 0.065 0.717
Ni 0.215 0.562 0.785
Ni 0.433 0.567 0.000
Ni 0.438 0.785 0.215
Ni 0.651 0.349 0.000
Ni 0.717 0.283 0.500
Ni 0.935 0.065 0.500
Ni 0.935 0.851 0.283
P 0.006 0.764 0.594
P 0.022 0.367 0.573
P 0.134 0.642 0.097
P 0.236 0.994 0.406
P 0.342 0.265 0.927
P 0.358 0.866 0.903
P 0.506 0.476 0.301
P 0.524 0.494 0.699
P 0.633 0.978 0.427
P 0.735 0.658 0.073
P 0.837 0.135 0.801
P 0.865 0.163 0.199
O 0.005 0.726 0.435
O 0.009 0.924 0.628
O 0.056 0.207 0.583
O 0.061 0.785 0.136
O 0.069 0.440 0.713
O 0.076 0.991 0.372
O 0.089 0.410 0.446
O 0.090 0.616 0.941
O 0.099 0.529 0.188
O 0.147 0.700 0.651
O 0.215 0.939 0.864
O 0.274 0.995 0.565
O 0.280 0.202 0.789
O 0.283 0.215 0.057
O 0.288 0.119 0.343
O 0.294 0.653 0.124
O 0.300 0.853 0.349
O 0.308 0.426 0.924
O 0.347 0.706 0.876
O 0.366 0.503 0.662
O 0.382 0.409 0.348
O 0.384 0.910 0.059
O 0.471 0.901 0.812
O 0.497 0.634 0.338
O 0.500 0.225 0.927
O 0.513 0.439 0.140
O 0.560 0.931 0.287
O 0.561 0.487 0.860
O 0.573 0.353 0.628
O 0.574 0.692 0.076
O 0.590 0.911 0.554
O 0.591 0.618 0.652
O 0.592 0.137 0.438
O 0.647 0.427 0.372
O 0.724 0.221 0.139
O 0.764 0.013 0.844
O 0.775 0.500 0.073
O 0.779 0.276 0.861
O 0.785 0.717 0.943
O 0.793 0.944 0.417
O 0.798 0.720 0.211
O 0.808 0.144 0.639
O 0.856 0.192 0.361
O 0.863 0.408 0.562
O 0.880 0.007 0.155
O 0.881 0.712 0.657
O 0.987 0.236 0.156
O 0.993 0.120 0.845

=====

The energy of each structure relative to the most stable one, in kJ/mol of atoms, is as follows: model one 0.0; model two 0.7.